1.
Compound: MgMn2O2F2
Source: Materials Project
Functional: PBE with a Hubbard U
Structure: relaxed

a = 3.490 Å, b = 3.918 Å, c = 7.196 Å
α = 90.00°, β = 103.38°, γ = 90.00°
Space group Pm (No. 6)
Asymmetric unit:
Mg1 0.000 0.000 0.000
Mn1 0.250 0.000 0.529
Mn2 0.618 0.500 0.251
O1 0.205 0.500 0.435
O2 0.572 0.000 0.148
F1 0.008 0.500 0.993
F2 0.835 0.000 0.712

Results
size of the total moment: 10.00 μB/f.u.
formation energy from the elements: -60.63 kcal/mol of atoms

---

2.
Compound: MgMn6O7F5
Source: Materials Project
Functional: PBE with a Hubbard U
Structure: relaxed

a = 5.224 Å, b = 5.834 Å, c = 7.817 Å
α = 82.39°, β = 82.84°, γ = 80.05°
Space group P1 (No. 1)
Asymmetric unit:
Mg1 0.000 0.000 0.000
Mn1 0.038 0.371 0.194
Mn2 0.492 0.150 0.820
Mn3 0.505 0.835 0.179
Mn4 0.524 0.517 0.512
Mn5 0.969 0.623 0.809
Mn6 0.989 0.982 0.505
O1 0.299 0.787 0.403
O2 0.307 0.124 0.061
O3 0.311 0.460 0.734
O4 0.698 0.550 0.279
O5 0.702 0.203 0.602
O6 0.705 0.860 0.935
O7 0.827 0.716 0.599
F1 0.165 0.661 0.045
F2 0.172 0.969 0.759
F3 0.177 0.250 0.424
F4 0.834 0.334 0.950
F5 0.836 0.033 0.243

Results
size of the total moment: 25.00 μB/f.u.
formation energy from the elements: -55.17 kcal/mol of atoms

---

3.
Compound: MgMn6O11F
Source: Materials Project
Functional: PBE with a Hubbard U
Structure: relaxed

a = 6.428 Å, b = 2.940 Å, c = 11.546 Å
α = 90.00°, β = 102.11°, γ = 90.00°
Space group Pm (No. 6)
Asymmetric unit:
Mg1 0.000 0.000 0.000
Mn1 0.110 0.000 0.791
Mn2 0.394 0.500 0.204
Mn3 0.492 0.000 0.487
Mn4 0.602 0.500 0.802
Mn5 0.884 0.000 0.208
Mn6 0.996 0.500 0.498
O1 0.054 0.500 0.683
O2 0.145 0.500 0.913
O3 0.187 0.000 0.173
O4 0.196 0.000 0.504
O5 0.412 0.000 0.805
O6 0.449 0.500 0.382
O7 0.580 0.000 0.191
O8 0.800 0.000 0.500
O9 0.808 0.000 0.829
O10 0.851 0.500 0.085
O11 0.936 0.500 0.317
F1 0.545 0.500 0.612

Results
size of the total moment: 21.00 μB/f.u.
formation energy from the elements: -46.32 kcal/mol of atoms

---

4.
Compound: MgMn6O7F5
Source: Materials Project
Functional: PBE with a Hubbard U
Structure: relaxed

a = 5.761 Å, b = 6.018 Å, c = 7.732 Å
α = 109.04°, β = 95.08°, γ = 112.35°
Space group P1 (No. 1)
Asymmetric unit:
Mg1 0.000 0.000 0.000
Mn1 0.021 0.466 0.978
Mn2 0.307 0.527 0.348
Mn3 0.395 0.023 0.808
Mn4 0.618 0.515 0.666
Mn5 0.622 0.007 0.172
Mn6 0.975 0.021 0.517
O1 0.120 0.157 0.802
O2 0.263 0.326 0.509
O3 0.348 0.690 0.163
O4 0.603 0.861 0.893
O5 0.667 0.711 0.502
O6 0.671 0.331 0.827
O7 0.953 0.305 0.168
F1 0.063 0.710 0.832
F2 0.210 0.816 0.524
F3 0.376 0.175 0.121
F4 0.721 0.179 0.450
F5 0.910 0.853 0.201

Results
size of the total moment: 25.00 μB/f.u.
formation energy from the elements: -54.16 kcal/mol of atoms

---

5.
Compound: MgMn12O17F7
Source: Materials Project
Functional: PBE with a Hubbard U
Structure: relaxed

a = 4.784 Å, b = 5.721 Å, c = 14.992 Å
α = 90.59°, β = 93.48°, γ = 90.16°
Space group P1 (No. 1)
Asymmetric unit:
Mg1 0.000 0.000 0.000
Mn1 0.011 0.581 0.670
Mn2 0.037 0.289 0.834
Mn3 0.441 0.735 0.173
Mn4 0.454 0.094 0.337
Mn5 0.462 0.747 0.495
Mn6 0.483 0.270 0.000
Mn7 0.486 0.764 0.832
Mn8 0.506 0.085 0.658
Mn9 0.965 0.260 0.184
Mn10 0.981 0.554 0.344
Mn11 0.989 0.523 0.011
Mn12 0.997 0.288 0.509
O1 0.169 0.275 0.072
O2 0.169 0.517 0.234
O3 0.194 0.755 0.066
O4 0.200 0.321 0.401
O5 0.218 0.527 0.565
O6 0.244 0.038 0.227
O7 0.249 0.799 0.388
O8 0.252 0.517 0.916
O9 0.265 0.041 0.552
O10 0.282 0.056 0.903
O11 0.288 0.824 0.720
O12 0.703 0.476 0.095
O13 0.741 0.306 0.281
O14 0.762 0.532 0.447
O15 0.795 0.300 0.615
O16 0.804 0.276 0.939
O17 0.825 0.546 0.781
F1 0.294 0.325 0.736
F2 0.717 0.789 0.280
F3 0.718 0.796 0.602
F4 0.721 0.015 0.105
F5 0.722 0.052 0.444
F6 0.755 0.762 0.946
F7 0.756 0.047 0.775

Results
size of the total moment: 44.92 μB/f.u.
formation energy from the elements: -48.93 kcal/mol of atoms

---

6.
Compound: MgMn6O7F5
Source: Materials Project
Functional: PBE with a Hubbard U
Structure: relaxed

a = 5.792 Å, b = 6.016 Å, c = 7.742 Å
α = 106.56°, β = 97.85°, γ = 114.44°
Space group P1 (No. 1)
Asymmetric unit:
Mg1 0.000 0.000 0.000
Mn1 0.010 0.009 0.497
Mn2 0.026 0.502 0.988
Mn3 0.357 0.525 0.343
Mn4 0.372 0.977 0.803
Mn5 0.649 0.080 0.209
Mn6 0.678 0.481 0.641
O1 0.038 0.171 0.296
O2 0.289 0.875 0.019
O3 0.384 0.161 0.629
O4 0.593 0.381 0.379
O5 0.640 0.853 0.358
O6 0.735 0.151 0.979
O7 0.982 0.846 0.697
F1 0.103 0.656 0.287
F2 0.283 0.347 0.033
F3 0.417 0.664 0.637
F4 0.741 0.628 0.927
F5 0.948 0.337 0.696

Results
size of the total moment: 25.00 μB/f.u.
formation energy from the elements: -55.25 kcal/mol of atoms

---

7.
Compound: MgMn6O11F
Source: Materials Project
Functional: PBE with a Hubbard U
Structure: relaxed

a = 4.984 Å, b = 8.630 Å, c = 5.106 Å
α = 90.00°, β = 100.88°, γ = 90.00°
Space group Pm (No. 6)
Asymmetric unit:
Mg1 0.000 0.000 0.000
Mn1 0.044 0.500 0.400
Mn2 0.477 0.329 0.963
Mn3 0.487 0.000 0.948
Mn4 0.934 0.177 0.502
O1 0.160 0.000 0.664
O2 0.209 0.331 0.626
O3 0.295 0.500 0.102
O4 0.306 0.162 0.100
O5 0.691 0.160 0.814
O6 0.772 0.339 0.277
O7 0.778 0.000 0.278
F1 0.664 0.500 0.816

Results
size of the total moment: 21.00 μB/f.u.
formation energy from the elements: -45.34 kcal/mol of atoms

---

8.
Compound: MgMn6O11F
Source: Materials Project
Functional: PBE with a Hubbard U
Structure: relaxed

a = 5.056 Å, b = 5.664 Å, c = 7.472 Å
α = 81.69°, β = 84.48°, γ = 81.59°
Space group P1 (No. 1)
Asymmetric unit:
Mg1 0.000 0.000 0.000
Mn1 0.002 0.006 0.504
Mn2 0.049 0.388 0.193
Mn3 0.482 0.166 0.818
Mn4 0.492 0.503 0.501
Mn5 0.495 0.828 0.178
Mn6 0.932 0.619 0.808
O1 0.141 0.331 0.930
O2 0.150 0.679 0.586
O3 0.158 0.034 0.250
O4 0.345 0.203 0.598
O5 0.354 0.544 0.262
O6 0.369 0.872 0.937
O7 0.629 0.455 0.735
O8 0.631 0.794 0.404
O9 0.827 0.320 0.410
O10 0.832 0.975 0.754
O11 0.843 0.677 0.073
F1 0.640 0.149 0.073

Results
size of the total moment: 21.00 μB/f.u.
formation energy from the elements: -46.26 kcal/mol of atoms

---

9.
Compound: MgMn6O11F
Source: Materials Project
Functional: PBE with a Hubbard U
Structure: relaxed

a = 5.690 Å, b = 5.847 Å, c = 7.491 Å
α = 106.79°, β = 98.80°, γ = 113.09°
Space group P1 (No. 1)
Asymmetric unit:
Mg1 0.000 0.000 0.000
Mn1 0.004 0.493 0.004
Mn2 0.328 0.518 0.341
Mn3 0.356 0.925 0.786
Mn4 0.634 0.058 0.210
Mn5 0.658 0.467 0.648
Mn6 0.994 0.999 0.504
O1 0.020 0.159 0.302
O2 0.077 0.643 0.281
O3 0.254 0.378 0.060
O4 0.271 0.847 0.019
O5 0.368 0.156 0.646
O6 0.421 0.629 0.617
O7 0.572 0.358 0.380
O8 0.619 0.849 0.367
O9 0.718 0.142 0.981
O10 0.909 0.349 0.723
O11 0.968 0.827 0.699
F1 0.736 0.633 0.954

Results
size of the total moment: 21.00 μB/f.u.
formation energy from the elements: -46.33 kcal/mol of atoms

---

10.
Compound: MgMn6O7F5
Source: Materials Project
Functional: PBE with a Hubbard U
Structure: relaxed

a = 5.709 Å, b = 5.805 Å, c = 7.855 Å
α = 111.11°, β = 92.32°, γ = 111.15°
Space group P1 (No. 1)
Asymmetric unit:
Mg1 0.000 0.000 0.000
Mn1 0.114 0.540 0.160
Mn2 0.228 0.024 0.635
Mn3 0.411 0.476 0.481
Mn4 0.495 0.986 0.969
Mn5 0.778 0.138 0.387
Mn6 0.869 0.447 0.787
O1 0.048 0.255 0.604
O2 0.069 0.277 0.269
O3 0.156 0.725 0.989
O4 0.399 0.825 0.694
O5 0.551 0.176 0.235
O6 0.564 0.260 0.593
O7 0.829 0.248 0.961
F1 0.014 0.793 0.363
F2 0.298 0.235 0.941
F3 0.478 0.727 0.318
F4 0.678 0.717 0.973
F5 0.916 0.781 0.706

Results
size of the total moment: 25.00 μB/f.u.
formation energy from the elements: -54.27 kcal/mol of atoms

---

11.
Compound: MgMn12O17F7
Source: Materials Project
Functional: PBE with a Hubbard U
Structure: relaxed

a = 4.773 Å, b = 5.664 Å, c = 15.035 Å
α = 89.38°, β = 89.48°, γ = 88.79°
Space group P1 (No. 1)
Asymmetric unit:
Mg1 0.000 0.000 0.000
Mn1 0.014 0.405 0.670
Mn2 0.045 0.459 0.016
Mn3 0.048 0.763 0.508
Mn4 0.064 0.424 0.347
Mn5 0.079 0.768 0.187
Mn6 0.498 0.238 0.834
Mn7 0.498 0.935 0.999
Mn8 0.501 0.942 0.661
Mn9 0.514 0.224 0.499
Mn10 0.540 0.249 0.170
Mn11 0.542 0.964 0.334
Mn12 0.993 0.722 0.835
O1 0.203 0.455 0.782
O2 0.211 0.716 0.948
O3 0.229 0.700 0.618
O4 0.256 0.471 0.455
O5 0.270 0.506 0.122
O6 0.283 0.206 0.946
O7 0.284 0.986 0.105
O8 0.286 0.180 0.605
O9 0.289 0.712 0.292
O10 0.311 0.993 0.440
O11 0.323 0.201 0.277
O12 0.715 0.189 0.725
O13 0.735 0.970 0.560
O14 0.739 0.966 0.895
O15 0.755 0.208 0.396
O16 0.771 0.985 0.229
O17 0.772 0.237 0.062
F1 0.266 0.957 0.771
F2 0.739 0.699 0.727
F3 0.764 0.470 0.907
F4 0.768 0.455 0.561
F5 0.793 0.746 0.068
F6 0.805 0.727 0.397
F7 0.831 0.486 0.238

Results
size of the total moment: 44.92 μB/f.u.
formation energy from the elements: -48.40 kcal/mol of atoms

---

12.
Compound: MgMn6O7F5
Source: Materials Project
Functional: PBE with a Hubbard U
Structure: relaxed

a = 5.034 Å, b = 5.898 Å, c = 7.796 Å
α = 96.19°, β = 90.22°, γ = 97.28°
Space group P1 (No. 1)
Asymmetric unit:
Mg1 0.000 0.000 0.000
Mn1 0.001 0.491 0.004
Mn2 0.016 0.196 0.631
Mn3 0.491 0.324 0.319
Mn4 0.507 0.993 0.009
Mn5 0.517 0.669 0.675
Mn6 0.952 0.829 0.351
O1 0.210 0.112 0.431
O2 0.219 0.461 0.761
O3 0.304 0.246 0.093
O4 0.701 0.749 0.901
O5 0.745 0.047 0.194
O6 0.780 0.542 0.237
O7 0.791 0.890 0.570
F1 0.193 0.792 0.131
F2 0.255 0.950 0.808
F3 0.313 0.621 0.453
F4 0.694 0.375 0.547
F5 0.806 0.201 0.858

Results
size of the total moment: 25.00 μB/f.u.
formation energy from the elements: -52.43 kcal/mol of atoms

---

- The lowest formation energy from the elements belongs to which entry?
  MgMn2O2F2